(1)
An optimized crystal structure of Ce4Y2O11, computed with PBE.

Unit cell a=3.859 b=3.859 c=16.351 alpha=90.00 beta=90.00 gamma=90.00
Fractional positions:
Ce 0.000 0.500 0.083
Ce 0.000 0.500 0.749
Ce 0.500 0.000 0.251
Ce 0.500 0.000 0.917
Y 0.000 0.500 0.407
Y 0.500 0.000 0.593
O 0.000 0.000 0.000
O 0.000 0.000 0.163
O 0.000 0.000 0.326
O 0.000 0.000 0.500
O 0.000 0.000 0.674
O 0.000 0.000 0.837
O 0.500 0.500 0.000
O 0.500 0.500 0.171
O 0.500 0.500 0.346
O 0.500 0.500 0.654
O 0.500 0.500 0.829

Magnetic moment ... 0.01 μB per formula unit

=====

(2)
An optimized crystal structure of Ce5Y2O13, computed with PBE.

Unit cell a=22.409 b=22.409 c=22.409 alpha=9.81 beta=9.81 gamma=9.81
Fractional positions:
Ce 0.000 0.000 0.000
Ce 0.143 0.143 0.143
Ce 0.286 0.286 0.286
Ce 0.429 0.429 0.429
Ce 0.714 0.714 0.714
Y 0.572 0.572 0.572
Y 0.855 0.855 0.855
O 0.035 0.035 0.035
O 0.106 0.106 0.106
O 0.178 0.178 0.178
O 0.245 0.245 0.245
O 0.320 0.320 0.320
O 0.392 0.392 0.392
O 0.463 0.463 0.463
O 0.540 0.540 0.540
O 0.607 0.607 0.607
O 0.678 0.678 0.678
O 0.749 0.749 0.749
O 0.821 0.821 0.821
O 0.964 0.964 0.964

Magnetic moment ... 0.00 μB per formula unit

=====

(3)
An optimized crystal structure of Ce2Y2O7, computed with PBE.

Unit cell a=7.798 b=3.760 c=10.906 alpha=90.00 beta=90.00 gamma=90.00
Fractional positions:
Ce 0.000 0.000 0.000
Ce 0.250 0.500 0.254
Ce 0.500 0.000 0.000
Ce 0.750 0.500 0.746
Y 0.000 0.000 0.500
Y 0.250 0.500 0.769
Y 0.500 0.000 0.500
Y 0.750 0.500 0.231
O 0.011 0.500 0.122
O 0.044 0.500 0.625
O 0.250 0.000 0.135
O 0.250 0.000 0.392
O 0.250 0.000 0.874
O 0.456 0.500 0.625
O 0.489 0.500 0.122
O 0.511 0.500 0.878
O 0.544 0.500 0.375
O 0.750 0.000 0.126
O 0.750 0.000 0.608
O 0.750 0.000 0.865
O 0.956 0.500 0.375
O 0.989 0.500 0.878

Magnetic moment ... 0.00 μB per formula unit

=====

(4)
An optimized crystal structure of Ce4Y6O17, computed with PBE.

Unit cell a=32.219 b=32.219 c=32.219 alpha=6.74 beta=6.74 gamma=6.74
Fractional positions:
Ce 0.000 0.000 0.000
Ce 0.100 0.100 0.100
Ce 0.400 0.400 0.400
Ce 0.700 0.700 0.700
Y 0.200 0.200 0.200
Y 0.302 0.302 0.302
Y 0.502 0.502 0.502
Y 0.600 0.600 0.600
Y 0.800 0.800 0.800
Y 0.902 0.902 0.902
O 0.026 0.026 0.026
O 0.076 0.076 0.076
O 0.129 0.129 0.129
O 0.176 0.176 0.176
O 0.222 0.222 0.222
O 0.326 0.326 0.326
O 0.376 0.376 0.376
O 0.426 0.426 0.426
O 0.529 0.529 0.529
O 0.576 0.576 0.576
O 0.622 0.622 0.622
O 0.676 0.676 0.676
O 0.726 0.726 0.726
O 0.776 0.776 0.776
O 0.822 0.822 0.822
O 0.929 0.929 0.929
O 0.976 0.976 0.976

Magnetic moment ... 0.00 μB per formula unit

=====

(5)
An optimized crystal structure of Ce2Y2O7, computed with PBE.

Unit cell a=9.384 b=9.392 c=9.417 alpha=109.49 beta=109.33 gamma=109.34
Fractional positions:
Ce 0.000 0.000 0.000
Ce 0.002 0.753 0.254
Ce 0.227 0.000 0.742
Ce 0.251 0.741 0.992
Ce 0.264 0.504 0.259
Ce 0.730 0.977 0.224
Ce 0.766 0.490 0.762
Ce 0.768 0.268 0.026
Y 0.002 0.252 0.770
Y 0.033 0.525 0.507
Y 0.259 0.230 0.482
Y 0.483 0.228 0.225
Y 0.498 0.493 0.021
Y 0.500 0.740 0.739
Y 0.508 0.005 0.477
Y 0.746 0.775 0.498
O 0.002 0.745 0.002
O 0.006 0.257 0.017
O 0.015 0.515 0.257
O 0.234 0.986 0.985
O 0.243 0.262 0.731
O 0.245 0.235 0.235
O 0.251 0.750 0.240
O 0.252 0.499 0.012
O 0.258 0.480 0.517
O 0.266 0.992 0.510
O 0.279 0.784 0.744
O 0.491 0.984 0.224
O 0.493 0.716 0.971
O 0.496 0.224 0.980
O 0.505 0.780 0.517
O 0.519 0.500 0.272
O 0.524 0.278 0.507
O 0.726 0.695 0.724
O 0.730 0.998 0.977
O 0.735 0.231 0.762
O 0.740 0.502 0.993
O 0.748 0.752 0.247
O 0.774 0.032 0.491
O 0.776 0.269 0.284
O 0.980 0.740 0.502
O 0.990 0.003 0.756
O 0.993 0.486 0.723
O 0.998 0.011 0.260

Magnetic moment ... 0.00 μB per formula unit

=====

(6)
An optimized crystal structure of Ce2Y2O7, computed with PBE.

Unit cell a=3.850 b=3.850 c=10.900 alpha=90.00 beta=90.00 gamma=90.00
Fractional positions:
Ce 0.000 0.500 0.125
Ce 0.500 0.000 0.875
Y 0.000 0.500 0.640
Y 0.500 0.000 0.360
O 0.000 0.000 0.000
O 0.000 0.000 0.265
O 0.000 0.000 0.735
O 0.500 0.500 0.000
O 0.500 0.500 0.240
O 0.500 0.500 0.500
O 0.500 0.500 0.760

Magnetic moment ... 0.02 μB per formula unit

=====

(7)
An optimized crystal structure of CeZr2O6, computed with PBE.

Unit cell a=3.729 b=3.729 c=9.020 alpha=90.00 beta=90.00 gamma=120.00
Fractional positions:
Ce 0.000 0.000 0.000
Zr 0.333 0.667 0.659
Zr 0.667 0.333 0.341
O 0.000 0.000 0.264
O 0.000 0.000 0.736
O 0.333 0.667 0.418
O 0.333 0.667 0.906
O 0.667 0.333 0.094
O 0.667 0.333 0.582

Magnetic moment ... 0.00 μB per formula unit

=====

(8)
An optimized crystal structure of CeZr3O8, computed with PBE.

Unit cell a=3.707 b=6.521 c=6.521 alpha=69.00 beta=90.00 gamma=90.00
Fractional positions:
Ce 0.000 0.000 0.000
Zr 0.000 0.496 0.496
Zr 0.500 0.503 0.992
Zr 0.500 0.992 0.503
O 0.000 0.103 0.586
O 0.000 0.362 0.841
O 0.000 0.586 0.103
O 0.000 0.841 0.362
O 0.500 0.152 0.152
O 0.500 0.404 0.404
O 0.500 0.650 0.650
O 0.500 0.886 0.886

Magnetic moment ... 0.00 μB per formula unit

=====

(9)
An optimized crystal structure of Ce3ZrO8, computed with PBE.

Unit cell a=7.662 b=7.662 c=5.439 alpha=90.16 beta=90.16 gamma=90.37
Fractional positions:
Ce 0.125 0.875 0.750
Ce 0.132 0.378 0.760
Ce 0.378 0.132 0.260
Ce 0.622 0.868 0.740
Ce 0.868 0.622 0.240
Ce 0.875 0.125 0.250
Zr 0.368 0.632 0.250
Zr 0.632 0.368 0.750
O 0.118 0.633 0.987
O 0.119 0.136 0.498
O 0.136 0.119 0.998
O 0.144 0.614 0.477
O 0.364 0.395 0.056
O 0.367 0.882 0.513
O 0.386 0.856 0.023
O 0.395 0.364 0.556
O 0.605 0.636 0.444
O 0.614 0.144 0.977
O 0.633 0.118 0.487
O 0.636 0.605 0.944
O 0.856 0.386 0.523
O 0.864 0.881 0.002
O 0.881 0.864 0.502
O 0.882 0.367 0.013

Magnetic moment ... 0.00 μB per formula unit

=====

(10)
An optimized crystal structure of CeZr11O24, computed with PBE.

Unit cell a=6.901 b=7.483 c=9.743 alpha=93.47 beta=91.55 gamma=116.31
Fractional positions:
Ce 0.000 0.000 0.000
Zr 0.153 0.345 0.735
Zr 0.190 0.887 0.690
Zr 0.294 0.119 0.381
Zr 0.327 0.661 0.331
Zr 0.490 0.008 0.074
Zr 0.520 0.552 0.027
Zr 0.622 0.783 0.707
Zr 0.662 0.329 0.665
Zr 0.820 0.677 0.405
Zr 0.856 0.221 0.362
Zr 0.953 0.451 0.043
O 0.185 0.822 0.459
O 0.191 0.342 0.960
O 0.209 0.355 0.351
O 0.231 0.043 0.170
O 0.269 0.955 0.902
O 0.270 0.648 0.712
O 0.288 0.673 0.109
O 0.298 0.184 0.611
O 0.518 0.488 0.789
O 0.526 0.995 0.300
O 0.543 0.022 0.683
O 0.552 0.709 0.497
O 0.595 0.628 0.237
O 0.597 0.312 0.047
O 0.616 0.842 0.942
O 0.624 0.341 0.440
O 0.843 0.163 0.129
O 0.856 0.662 0.628
O 0.868 0.678 0.018
O 0.884 0.374 0.831
O 0.929 0.296 0.571
O 0.939 0.982 0.382
O 0.958 0.007 0.762
O 0.962 0.517 0.280

=====

(11)
An optimized crystal structure of CeZr3O8, computed with PBE.

Unit cell a=5.328 b=5.353 c=5.502 alpha=89.66 beta=80.98 gamma=89.41
Fractional positions:
Ce 0.000 0.000 0.000
Zr 0.544 0.502 0.088
Zr 0.546 0.918 0.575
Zr 0.991 0.425 0.504
O 0.207 0.306 0.152
O 0.213 0.150 0.636
O 0.320 0.657 0.436
O 0.357 0.788 0.929
O 0.714 0.231 0.814
O 0.718 0.212 0.327
O 0.800 0.709 0.279
O 0.819 0.706 0.762

Magnetic moment ... 0.00 μB per formula unit

=====

(12)
An optimized crystal structure of Ce2ZrO6, computed with PBE.

Unit cell a=6.602 b=6.602 c=7.612 alpha=107.12 beta=107.12 gamma=47.96
Fractional positions:
Ce 0.000 0.000 0.000
Ce 0.335 0.331 0.168
Ce 0.669 0.665 0.832
Ce 0.993 0.007 0.500
Zr 0.330 0.331 0.663
Zr 0.669 0.670 0.337
O 0.069 0.568 0.431
O 0.105 0.573 0.899
O 0.236 0.750 0.257
O 0.250 0.764 0.743
O 0.427 0.895 0.101
O 0.432 0.931 0.569
O 0.581 0.074 0.921
O 0.589 0.087 0.410
O 0.718 0.255 0.751
O 0.745 0.282 0.249
O 0.913 0.411 0.590
O 0.926 0.419 0.079

Magnetic moment ... 0.00 μB per formula unit

=====

(13)
An optimized crystal structure of CeZrO4, computed with PBE.

Unit cell a=5.388 b=5.388 c=5.303 alpha=90.00 beta=90.00 gamma=90.00
Fractional positions:
Ce 0.250 0.250 0.000
Ce 0.750 0.750 0.000
Zr 0.250 0.750 0.500
Zr 0.750 0.250 0.500
O 0.036 0.536 0.255
O 0.036 0.964 0.745
O 0.464 0.536 0.745
O 0.464 0.964 0.255
O 0.536 0.036 0.745
O 0.536 0.464 0.255
O 0.964 0.036 0.255
O 0.964 0.464 0.745

Magnetic moment ... 0.00 μB per formula unit

=====

| no. | MP2020-corrected energy (eV/atom) | E_form (eV/atom) |
| --- | --- | --- |
| 1 | -9.240 | -3.8820 |
| 2 | -9.242 | -3.8956 |
| 3 | -9.283 | -3.8798 |
| 4 | -9.298 | -3.8663 |
| 5 | -9.311 | -3.9079 |
| 6 | -9.261 | -3.8577 |
| 7 | -9.641 | -3.7835 |
| 8 | -9.714 | -3.7843 |
| 9 | -9.361 | -3.8669 |
| 10 | -9.882 | -3.8067 |
| 11 | -9.731 | -3.8008 |
| 12 | -9.405 | -3.8381 |
| 13 | -9.540 | -3.8281 |